{"formula": "Lu2MgW2Cl2O8", "functional": "GGA+U", "state": "relaxed", "cell": [[6.182, 0.000, 0.000], [1.185, 6.598, 0.000], [2.913, 1.595, 6.198]], "species": ["Lu", "Lu", "Mg", "W", "W", "Cl", "Cl", "O", "O", "O", "O", "O", "O", "O", "O"], "frac_coords": [[0.000, 0.000, 0.000], [0.354, 0.402, 0.590], [0.893, 0.782, 0.474], [0.020, 0.391, 0.206], [0.322, 0.997, 0.417], [0.651, 0.501, 0.734], [0.733, 0.960, 0.806], [0.039, 0.685, 0.176], [0.082, 0.049, 0.276], [0.104, 0.332, 0.928], [0.208, 0.713, 0.524], [0.251, 0.320, 0.350], [0.276, 0.053, 0.686], [0.646, 0.951, 0.296], [0.698, 0.384, 0.328]], "magnetic_moment_mub_per_cell": 0.00, "ef_ev_per_atom": -2.659, "mass_density_g_cm3": 6.18}

---

{"formula": "LuWClO4", "functional": "GGA+U", "state": "relaxed", "cell": [[5.986, 0.000, 0.000], [2.159, 6.168, 0.000], [1.546, 1.560, 6.604]], "species": ["Lu", "Lu", "W", "W", "Cl", "Cl", "O", "O", "O", "O", "O", "O", "O", "O"], "frac_coords": [[0.241, 0.202, 0.367], [0.759, 0.798, 0.633], [0.378, 0.356, 0.765], [0.622, 0.644, 0.235], [0.004, 0.027, 0.724], [0.996, 0.973, 0.276], [0.089, 0.520, 0.693], [0.348, 0.256, 0.035], [0.423, 0.469, 0.309], [0.477, 0.124, 0.632], [0.523, 0.876, 0.368], [0.577, 0.531, 0.691], [0.652, 0.744, 0.965], [0.911, 0.480, 0.307]], "magnetic_moment_mub_per_cell": 0.00, "ef_ev_per_atom": -2.670, "mass_density_g_cm3": 6.24}

---

{"formula": "Sr4MgMn2Cl2O6", "functional": "GGA+U", "state": "relaxed", "cell": [[3.913, 0.000, 0.000], [0.000, 3.927, 0.000], [0.000, 0.000, 18.975]], "species": ["Sr", "Sr", "Sr", "Sr", "Mg", "Mn", "Mn", "Cl", "Cl", "O", "O", "O", "O", "O", "O"], "frac_coords": [[0.000, 0.000, 0.000], [0.000, 0.000, 0.191], [0.500, 0.500, 0.333], [0.500, 0.500, 0.555], [0.000, 0.500, 0.722], [0.000, 0.000, 0.439], [0.500, 0.500, 0.100], [0.000, 0.000, 0.791], [0.500, 0.500, 0.930], [0.000, 0.000, 0.332], [0.000, 0.500, 0.085], [0.000, 0.500, 0.626], [0.500, 0.000, 0.086], [0.500, 0.000, 0.472], [0.500, 0.500, 0.211]], "magnetic_moment_mub_per_cell": 8.78, "ef_ev_per_atom": -2.424, "polymorph_energy_mev_per_atom": 26.5, "mass_density_g_cm3": 3.71}

---

{"formula": "Sr4MgMn2Cl2O6", "functional": "GGA+U", "state": "relaxed", "cell": [[4.043, 0.000, 0.000], [0.000, 4.043, 0.000], [0.000, 0.000, 17.463]], "species": ["Sr", "Sr", "Sr", "Sr", "Mg", "Mn", "Mn", "Cl", "Cl", "O", "O", "O", "O", "O", "O"], "frac_coords": [[0.000, 0.500, 0.075], [0.000, 0.500, 0.279], [0.500, 0.000, 0.721], [0.500, 0.000, 0.925], [0.500, 0.500, 0.500], [0.000, 0.500, 0.821], [0.500, 0.000, 0.179], [0.000, 0.500, 0.592], [0.500, 0.000, 0.408], [0.000, 0.000, 0.205], [0.000, 0.000, 0.795], [0.000, 0.500, 0.939], [0.500, 0.000, 0.061], [0.500, 0.500, 0.205], [0.500, 0.500, 0.795]], "magnetic_moment_mub_per_cell": 9.15, "ef_ev_per_atom": -2.382, "polymorph_energy_mev_per_atom": 68.4, "mass_density_g_cm3": 3.79}

---

{"formula": "Sr4MgMn2Cl2O6", "functional": "GGA+U", "state": "relaxed", "cell": [[4.148, 0.000, 0.000], [0.000, 4.148, 0.000], [0.000, 0.000, 14.703]], "species": ["Sr", "Sr", "Sr", "Sr", "Mg", "Mn", "Mn", "Cl", "Cl", "O", "O", "O", "O", "O", "O"], "frac_coords": [[0.000, 0.500, 0.135], [0.000, 0.500, 0.352], [0.500, 0.000, 0.648], [0.500, 0.000, 0.865], [0.000, 0.000, 0.000], [0.000, 0.500, 0.784], [0.500, 0.000, 0.216], [0.000, 0.500, 0.572], [0.500, 0.000, 0.428], [0.000, 0.000, 0.226], [0.000, 0.000, 0.774], [0.000, 0.500, 0.951], [0.500, 0.000, 0.049], [0.500, 0.500, 0.242], [0.500, 0.500, 0.758]], "magnetic_moment_mub_per_cell": 9.94, "ef_ev_per_atom": -2.409, "polymorph_energy_mev_per_atom": 40.9, "mass_density_g_cm3": 4.28}

---

{"formula": "Sr4MgMn2Cl2O6", "functional": "GGA+U", "state": "relaxed", "cell": [[3.973, 0.000, 0.000], [0.000, 3.973, 0.000], [0.000, 0.000, 18.054]], "species": ["Sr", "Sr", "Sr", "Sr", "Mg", "Mn", "Mn", "Cl", "Cl", "O", "O", "O", "O", "O", "O"], "frac_coords": [[0.000, 0.000, 0.000], [0.000, 0.000, 0.201], [0.500, 0.500, 0.451], [0.500, 0.500, 0.856], [0.500, 0.500, 0.677], [0.000, 0.000, 0.741], [0.500, 0.500, 0.100], [0.000, 0.000, 0.417], [0.500, 0.500, 0.289], [0.000, 0.000, 0.860], [0.000, 0.500, 0.120], [0.000, 0.500, 0.711], [0.500, 0.000, 0.120], [0.500, 0.000, 0.711], [0.500, 0.500, 0.984]], "magnetic_moment_mub_per_cell": 9.20, "ef_ev_per_atom": -2.450, "polymorph_energy_mev_per_atom": 0.0, "mass_density_g_cm3": 3.80}

---

{"formula": "Tb2MgMo2Cl2O8", "functional": "GGA+U", "state": "relaxed", "cell": [[6.489, 0.000, 0.000], [2.556, 5.979, 0.000], [1.995, 1.313, 6.557]], "species": ["Tb", "Tb", "Mg", "Mo", "Mo", "Cl", "Cl", "O", "O", "O", "O", "O", "O", "O", "O"], "frac_coords": [[0.000, 0.000, 0.000], [0.476, 0.477, 0.784], [0.932, 0.546, 0.392], [0.606, 0.588, 0.159], [0.888, 0.872, 0.625], [0.193, 0.283, 0.141], [0.195, 0.284, 0.643], [0.002, 0.852, 0.350], [0.147, 0.775, 0.740], [0.365, 0.746, 0.024], [0.627, 0.474, 0.434], [0.702, 0.330, 0.044], [0.718, 0.683, 0.664], [0.729, 0.112, 0.761], [0.794, 0.758, 0.120]], "magnetic_moment_mub_per_cell": 2.00, "ef_ev_per_atom": -2.556, "polymorph_energy_mev_per_atom": 23.5, "mass_density_g_cm3": 4.79}

---

{"formula": "Tb2MgMo2Cl2O8", "functional": "GGA+U", "state": "relaxed", "cell": [[5.794, -3.398, 0.000], [5.794, 3.398, 0.000], [-1.927, 0.000, 6.908]], "species": ["Tb", "Tb", "Mg", "Mo", "Mo", "Cl", "Cl", "O", "O", "O", "O", "O", "O", "O", "O"], "frac_coords": [[0.220, 0.220, 0.374], [0.780, 0.780, 0.626], [0.729, 0.271, 0.500], [0.157, 0.131, 0.790], [0.869, 0.843, 0.210], [0.419, 0.455, 0.700], [0.545, 0.581, 0.300], [0.011, 0.609, 0.363], [0.185, 0.205, 0.049], [0.391, 0.989, 0.637], [0.610, 0.035, 0.356], [0.795, 0.815, 0.951], [0.939, 0.017, 0.695], [0.965, 0.390, 0.644], [0.983, 0.061, 0.305]], "magnetic_moment_mub_per_cell": 2.00, "ef_ev_per_atom": -2.580, "polymorph_energy_mev_per_atom": 0.0, "mass_density_g_cm3": 4.47}

---

{"formula": "Sr4MgNi2Cl2O6", "functional": "GGA+U", "state": "relaxed", "cell": [[3.747, 0.000, 0.000], [0.000, 4.548, 0.000], [0.000, 0.000, 16.427]], "species": ["Sr", "Sr", "Sr", "Sr", "Mg", "Ni", "Ni", "Cl", "Cl", "O", "O", "O", "O", "O", "O"], "frac_coords": [[0.000, 0.000, 0.000], [0.000, 0.000, 0.201], [0.500, 0.500, 0.634], [0.500, 0.500, 0.842], [0.500, 0.000, 0.484], [0.000, 0.000, 0.726], [0.500, 0.500, 0.101], [0.000, 0.000, 0.381], [0.500, 0.500, 0.461], [0.000, 0.000, 0.839], [0.000, 0.500, 0.146], [0.000, 0.500, 0.725], [0.500, 0.000, 0.107], [0.500, 0.000, 0.606], [0.500, 0.500, 0.979]], "magnetic_moment_mub_per_cell": 4.00, "ef_ev_per_atom": -2.077, "polymorph_energy_mev_per_atom": 72.0, "mass_density_g_cm3": 3.91}

---

{"formula": "Sr4MgNi2Cl2O6", "functional": "GGA+U", "state": "relaxed", "cell": [[3.875, 0.000, 0.000], [0.000, 3.875, 0.000], [0.000, 0.000, 16.873]], "species": ["Sr", "Sr", "Sr", "Sr", "Mg", "Ni", "Ni", "Cl", "Cl", "O", "O", "O", "O", "O", "O"], "frac_coords": [[0.000, 0.000, 0.000], [0.000, 0.000, 0.204], [0.500, 0.500, 0.478], [0.500, 0.500, 0.820], [0.500, 0.500, 0.643], [0.000, 0.000, 0.651], [0.500, 0.500, 0.103], [0.000, 0.000, 0.427], [0.500, 0.500, 0.298], [0.000, 0.000, 0.774], [0.000, 0.500, 0.111], [0.000, 0.500, 0.611], [0.500, 0.000, 0.111], [0.500, 0.000, 0.611], [0.500, 0.500, 0.951]], "magnetic_moment_mub_per_cell": 2.06, "ef_ev_per_atom": -2.113, "polymorph_energy_mev_per_atom": 35.7, "mass_density_g_cm3": 4.32}

---

{"formula": "Sr4MgNi2Cl2O6", "functional": "GGA+U", "state": "relaxed", "cell": [[3.924, 0.000, 0.000], [0.000, 3.932, 0.000], [0.000, 0.000, 15.813]], "species": ["Sr", "Sr", "Sr", "Sr", "Mg", "Ni", "Ni", "Cl", "Cl", "O", "O", "O", "O", "O", "O"], "frac_coords": [[0.000, 0.000, 0.000], [0.000, 0.000, 0.205], [0.500, 0.500, 0.486], [0.500, 0.500, 0.703], [0.000, 0.500, 0.338], [0.000, 0.000, 0.588], [0.500, 0.500, 0.127], [0.000, 0.000, 0.776], [0.500, 0.500, 0.920], [0.000, 0.000, 0.390], [0.000, 0.500, 0.109], [0.000, 0.500, 0.586], [0.500, 0.000, 0.105], [0.500, 0.000, 0.591], [0.500, 0.500, 0.274]], "magnetic_moment_mub_per_cell": 2.54, "ef_ev_per_atom": -2.149, "polymorph_energy_mev_per_atom": 0.0, "mass_density_g_cm3": 4.49}

---

{"formula": "Sr4MgNi2Cl2O6", "functional": "GGA+U", "state": "relaxed", "cell": [[3.992, 0.000, 0.000], [0.000, 3.992, 0.000], [0.000, 0.000, 17.739]], "species": ["Sr", "Sr", "Sr", "Sr", "Mg", "Ni", "Ni", "Cl", "Cl", "O", "O", "O", "O", "O", "O"], "frac_coords": [[0.000, 0.500, 0.074], [0.000, 0.500, 0.268], [0.500, 0.000, 0.732], [0.500, 0.000, 0.926], [0.500, 0.500, 0.500], [0.000, 0.500, 0.828], [0.500, 0.000, 0.172], [0.000, 0.500, 0.580], [0.500, 0.000, 0.420], [0.000, 0.000, 0.198], [0.000, 0.000, 0.802], [0.000, 0.500, 0.939], [0.500, 0.000, 0.061], [0.500, 0.500, 0.198], [0.500, 0.500, 0.802]], "magnetic_moment_mub_per_cell": 3.62, "ef_ev_per_atom": -2.094, "polymorph_energy_mev_per_atom": 55.3, "mass_density_g_cm3": 3.87}

---

{"formula": "Tb2MgW2Cl2O8", "functional": "GGA+U", "state": "relaxed", "cell": [[5.503, -3.573, 0.000], [5.503, 3.573, 0.000], [-2.519, 0.000, 6.515]], "species": ["Tb", "Tb", "Mg", "W", "W", "Cl", "Cl", "O", "O", "O", "O", "O", "O", "O", "O"], "frac_coords": [[0.239, 0.239, 0.108], [0.761, 0.761, 0.892], [0.693, 0.307, 0.500], [0.370, 0.349, 0.735], [0.651, 0.630, 0.265], [0.945, 0.042, 0.750], [0.958, 0.055, 0.250], [0.125, 0.507, 0.870], [0.397, 0.238, 0.457], [0.453, 0.082, 0.835], [0.477, 0.445, 0.218], [0.493, 0.875, 0.130], [0.555, 0.523, 0.782], [0.762, 0.603, 0.543], [0.918, 0.547, 0.165]], "magnetic_moment_mub_per_cell": 2.00, "ef_ev_per_atom": -2.584, "polymorph_energy_mev_per_atom": 27.0, "mass_density_g_cm3": 5.89}

---

{"formula": "Tb2MgW2Cl2O8", "functional": "GGA+U", "state": "relaxed", "cell": [[6.121, -3.103, 0.000], [6.121, 3.103, 0.000], [-1.833, 0.000, 7.066]], "species": ["Tb", "Tb", "Mg", "W", "W", "Cl", "Cl", "O", "O", "O", "O", "O", "O", "O", "O"], "frac_coords": [[0.195, 0.195, 0.358], [0.805, 0.805, 0.642], [0.658, 0.342, 0.500], [0.127, 0.153, 0.788], [0.847, 0.873, 0.212], [0.338, 0.546, 0.713], [0.454, 0.662, 0.287], [0.208, 0.152, 0.045], [0.396, 0.013, 0.658], [0.591, 0.072, 0.385], [0.848, 0.792, 0.955], [0.886, 0.090, 0.713], [0.910, 0.114, 0.287], [0.928, 0.409, 0.615], [0.987, 0.604, 0.342]], "magnetic_moment_mub_per_cell": 2.00, "ef_ev_per_atom": -2.611, "polymorph_energy_mev_per_atom": 0.0, "mass_density_g_cm3": 5.62}

---

{"formula": "Tm2MgW2Cl2O8", "functional": "GGA+U", "state": "relaxed", "cell": [[6.194, 0.000, 0.000], [1.289, 6.599, 0.000], [2.825, 1.585, 6.240]], "species": ["Tm", "Tm", "Mg", "W", "W", "Cl", "Cl", "O", "O", "O", "O", "O", "O", "O", "O"], "frac_coords": [[0.000, 0.000, 0.000], [0.371, 0.391, 0.588], [0.467, 0.614, 0.116], [0.041, 0.402, 0.172], [0.341, 0.003, 0.384], [0.643, 0.444, 0.779], [0.680, 0.910, 0.867], [0.099, 0.345, 0.902], [0.104, 0.078, 0.246], [0.151, 0.686, 0.064], [0.246, 0.065, 0.661], [0.287, 0.348, 0.307], [0.323, 0.709, 0.414], [0.661, 0.007, 0.273], [0.719, 0.450, 0.286]], "magnetic_moment_mub_per_cell": 2.00, "ef_ev_per_atom": -2.655, "mass_density_g_cm3": 6.05}

---

{"formula": "MgV2Cl4O2", "functional": "GGA+U", "state": "relaxed", "cell": [[3.720, 0.000, 0.000], [1.802, 6.987, 0.000], [0.000, 2.138, 7.330]], "species": ["Mg", "V", "V", "Cl", "Cl", "Cl", "Cl", "O", "O"], "frac_coords": [[0.000, 0.000, 0.000], [0.741, 0.499, 0.852], [0.747, 0.492, 0.386], [0.608, 0.776, 0.050], [0.623, 0.744, 0.550], [0.873, 0.225, 0.171], [0.879, 0.215, 0.702], [0.239, 0.503, 0.867], [0.249, 0.489, 0.369]], "magnetic_moment_mub_per_cell": 4.00, "ef_ev_per_atom": -1.581, "polymorph_energy_mev_per_atom": 207.2, "mass_density_g_cm3": 2.61}

---

{"formula": "MgVCl2O", "functional": "GGA+U", "state": "relaxed", "cell": [[3.699, 0.000, 0.000], [-0.001, 4.016, 0.000], [-1.768, -1.977, 8.651]], "species": ["Mg", "V", "Cl", "Cl", "O"], "frac_coords": [[0.000, 0.000, 0.000], [0.268, 0.252, 0.486], [0.073, 0.571, 0.145], [0.419, 0.916, 0.831], [0.754, 0.224, 0.458]], "magnetic_moment_mub_per_cell": 3.00, "ef_ev_per_atom": -1.448, "polymorph_energy_mev_per_atom": 337.9, "mass_density_g_cm3": 2.10}

---

{"formula": "MgV2Cl4O2", "functional": "GGA+U", "state": "relaxed", "cell": [[3.710, 0.000, 0.000], [1.830, 6.719, 0.000], [0.001, 1.939, 7.071]], "species": ["Mg", "V", "V", "Cl", "Cl", "Cl", "Cl", "O", "O"], "frac_coords": [[0.000, 0.000, 0.000], [0.313, 0.381, 0.885], [0.333, 0.332, 0.411], [0.196, 0.617, 0.091], [0.202, 0.605, 0.584], [0.478, 0.045, 0.748], [0.484, 0.033, 0.223], [0.839, 0.320, 0.410], [0.850, 0.307, 0.925]], "magnetic_moment_mub_per_cell": 4.00, "ef_ev_per_atom": -1.710, "polymorph_energy_mev_per_atom": 78.5, "mass_density_g_cm3": 2.83}

---

{"formula": "MgVCl2O", "functional": "GGA+U", "state": "relaxed", "cell": [[6.620, -1.962, 0.000], [6.620, 1.962, 0.000], [-1.396, 0.000, 4.086]], "species": ["Mg", "V", "Cl", "Cl", "O"], "frac_coords": [[0.000, 0.000, 0.000], [0.489, 0.489, 0.488], [0.123, 0.123, 0.620], [0.861, 0.861, 0.355], [0.495, 0.495, 0.993]], "magnetic_moment_mub_per_cell": 3.00, "ef_ev_per_atom": -1.786, "polymorph_energy_mev_per_atom": 0.0, "mass_density_g_cm3": 2.54}